Entry 1:
InAgS2: relaxed, PBE-GGA.

Lattice parameters (Å, degrees): 6.8057 7.1530 8.3536 90.00 90.00 90.00
Closest atoms and distances in Å follow each position.
Fractional positions:
S (0.9826, 0.5763, 0.3801)  2 In 2.50-2.52, 2 Ag 2.57-2.58
S (0.9826, 0.0763, 0.1199)  2 In 2.50-2.52, 2 Ag 2.57-2.58
S (0.9988, 0.0929, 0.6241)  2 In 2.50-2.51, 2 Ag 2.57-2.62
S (0.4988, 0.4071, 0.1241)  2 In 2.50-2.51, 2 Ag 2.57-2.62
S (0.4826, 0.9237, 0.8801)  2 In 2.50-2.52, 2 Ag 2.57-2.58
S (0.9988, 0.5929, 0.8759)  2 In 2.50-2.51, 2 Ag 2.57-2.62
S (0.4826, 0.4237, 0.6199)  2 In 2.50-2.52, 2 Ag 2.57-2.58
S (0.4988, 0.9071, 0.3759)  2 In 2.50-2.51, 2 Ag 2.57-2.62
In (0.6129, 0.5729, 0.3710)  4 S 2.50-2.52
In (0.1129, 0.9271, 0.8710)  4 S 2.50-2.52
In (0.6129, 0.0729, 0.1290)  4 S 2.50-2.52
In (0.1129, 0.4271, 0.6290)  4 S 2.50-2.52
Ag (0.6206, 0.0879, 0.6307)  4 S 2.57-2.62
Ag (0.1206, 0.9121, 0.3693)  4 S 2.57-2.62
Ag (0.6206, 0.5879, 0.8693)  4 S 2.57-2.62
Ag (0.1206, 0.4121, 0.1307)  4 S 2.57-2.62

Calculated values
energy of formation from the pure elements = -0.675 eV per atom
space group = No. 33
raw total energy = -3.89 eV/atom
piezoelectric modulus e_max = 0.45 C/m2



Entry 2:
InAgS2: relaxed, PBE-GGA.

Lattice parameters (Å, degrees): 4.5612 4.5612 5.3938 90.00 90.00 120.00
Closest atoms and distances in Å follow each position.
Fractional positions:
S (0.6667, 0.3333, 0.4419)  3 In 2.63, 2 Ag 2.68-2.71
S (0.3333, 0.6667, 0.9380)  3 Ag 2.63, 2 In 2.66-2.73
Ag (0.6667, 0.3333, 0.9387)  5 S 2.63-2.71
In (0.3333, 0.6667, 0.4314)  5 S 2.63-2.73

Calculated values
energy of formation from the pure elements = -0.470 eV per atom
space group = No. 156
raw total energy = -3.68 eV/atom
M_tot = 0.0 μB/cell



Entry 3:
InAgS2: relaxed, PBE-GGA.

Lattice parameters (Å, degrees): 4.1445 4.1445 6.8742 90.00 90.00 120.00
Closest atoms and distances in Å follow each position.
Fractional positions:
Ag (0.3333, 0.6667, 0.4853)  4 S 2.52-2.64
S (0.3333, 0.6667, 0.8695)  3 In 2.61, 1 Ag 2.64
S (0.6667, 0.3333, 0.3726)  1 In 2.41, 3 Ag 2.52
In (0.6667, 0.3333, 0.0225)  4 S 2.41-2.61

Calculated values
energy of formation from the pure elements = -0.580 eV per atom
space group = No. 156
raw total energy = -3.79 eV/atom
M_tot = 0.0 μB/cell



Entry 4:
InAgS2: relaxed, PBE-GGA.

Lattice parameters (Å, degrees): 3.8658 3.8658 6.7306 83.06 83.06 57.39
Closest atoms and distances in Å follow each position.
Fractional positions:
In (0.0000, 0.0000, 0.0000)  6 S 2.67-2.68
S (0.3545, 0.3545, 0.7726)  3 In 2.67-2.68, 2 Ag 2.70
S (0.6455, 0.6455, 0.2274)  3 In 2.67-2.68, 2 Ag 2.70
Ag (0.0000, 0.0000, 0.5000)  4 S 2.70

Calculated values
energy of formation from the pure elements = -0.550 eV per atom
space group = No. 12
raw total energy = -3.76 eV/atom
M_tot = 0.0 μB/cell



Entry 5:
InAgSeS: relaxed, PBE-GGA.

Lattice parameters (Å, degrees): 7.3038 7.3038 7.3038 130.96 130.72 72.07
Closest atoms and distances in Å follow each position.
Fractional positions:
In (0.3697, 0.6197, 0.7500)  2 S 2.53, 2 Se 2.63
In (0.1303, 0.8803, 0.2500)  2 S 2.53, 2 Se 2.63
Se (0.2500, 0.5035, 0.2535)  2 In 2.63, 2 Ag 2.68
Se (0.7500, 0.9965, 0.2465)  2 In 2.63, 2 Ag 2.68
Ag (0.6332, 0.3832, 0.2500)  2 S 2.60, 2 Se 2.68
Ag (0.8668, 0.1168, 0.7500)  2 S 2.60, 2 Se 2.68
S (0.4872, 0.2500, 0.7372)  2 In 2.53, 2 Ag 2.60
S (0.0128, 0.7500, 0.7628)  2 In 2.53, 2 Ag 2.60

Calculated values
energy of formation from the pure elements = -0.543 eV per atom
space group = No. 24
raw total energy = -3.72 eV/atom
M_tot = 0.0 μB/cell



Entry 6:
InAgSnS4: relaxed, PBE-GGA.

Lattice parameters (Å, degrees): 7.7337 7.7337 7.7337 120.13 119.79 90.07
Closest atoms and distances in Å follow each position.
Fractional positions:
Ag (0.1284, 0.8784, 0.2500)  4 S 2.54-2.55
Ag (0.8716, 0.1216, 0.7500)  4 S 2.54-2.55
In (0.0000, 0.5000, 0.5000)  6 S 2.65-2.68
In (0.5000, 0.5000, 0.0000)  6 S 2.65-2.68
S (0.7257, 0.7452, 0.9805)  1 Ag 2.55, 2 Sn 2.63, 1 In 2.68
S (0.7367, 0.2539, 0.0172)  1 Ag 2.54, 1 Sn 2.59, 2 In 2.65
S (0.2633, 0.2805, 0.5172)  1 Ag 2.54, 1 Sn 2.59, 2 In 2.65
S (0.7354, 0.2548, 0.4805)  1 Ag 2.55, 2 Sn 2.63, 1 In 2.68
S (0.2743, 0.2548, 0.0195)  1 Ag 2.55, 2 Sn 2.63, 1 In 2.68
S (0.2633, 0.7461, 0.9828)  1 Ag 2.54, 1 Sn 2.59, 2 In 2.65
S (0.2646, 0.7452, 0.5195)  1 Ag 2.55, 2 Sn 2.63, 1 In 2.68
S (0.7367, 0.7195, 0.4828)  1 Ag 2.54, 1 Sn 2.59, 2 In 2.65
Sn (0.5000, 0.5000, 0.5000)  6 S 2.59-2.63
Sn (0.5000, 0.0000, 0.0000)  6 S 2.59-2.63

Calculated values
energy of formation from the pure elements = -0.697 eV per atom
space group = No. 74
raw total energy = -4.14 eV/atom
M_tot = 0.0 μB/cell



Entry 7:
Zn3InAgS5: relaxed, PBE-GGA.

Lattice parameters (Å, degrees): 6.5035 6.8660 10.5005 70.92 89.95 89.96
Closest atoms and distances in Å follow each position.
Fractional positions:
In (0.5004, 0.9370, 0.7994)  4 S 2.49-2.50
In (0.0015, 0.0684, 0.1987)  4 S 2.48-2.53
Zn (0.4986, 0.1394, 0.4019)  4 S 2.37
Zn (0.5074, 0.5286, 0.5927)  4 S 2.34-2.40
Zn (0.9990, 0.2720, 0.7928)  4 S 2.33-2.38
Zn (0.4951, 0.7256, 0.2072)  4 S 2.36-2.42
Zn (0.0010, 0.6690, 0.0026)  4 S 2.34-2.41
Zn (0.0032, 0.4651, 0.4053)  4 S 2.32-2.43
S (0.3624, 0.2820, 0.7844)  2 Zn 2.36, 1 In 2.49, 1 Ag 2.56
S (0.8953, 0.3477, 0.9894)  2 Zn 2.36-2.38, 1 In 2.50, 1 Ag 2.56
S (0.3953, 0.8598, 0.5924)  2 Zn 2.37-2.39, 1 In 2.50, 1 Ag 2.57
S (0.8666, 0.5118, 0.5979)  3 Zn 2.32-2.34, 1 Ag 2.55
S (0.3691, 0.4638, 0.3988)  4 Zn 2.36-2.40
S (0.8667, 0.7203, 0.2037)  3 Zn 2.41-2.43, 1 In 2.53
S (0.3640, 0.6786, 0.0101)  2 Zn 2.36, 1 In 2.50, 1 Ag 2.58
S (0.3850, 0.0500, 0.2142)  2 Zn 2.36-2.37, 1 In 2.50, 1 Ag 2.57
S (0.8634, 0.1527, 0.3948)  2 Zn 2.37, 1 In 2.48, 1 Ag 2.58
S (0.8838, 0.9357, 0.8145)  2 Zn 2.34-2.37, 1 In 2.50, 1 Ag 2.58
Ag (0.9999, 0.8598, 0.6001)  4 S 2.55-2.58
Ag (0.5022, 0.3327, 0.9991)  4 S 2.56-2.58

Calculated values
energy of formation from the pure elements = -0.893 eV per atom
space group = No. 1
raw total energy = -3.65 eV/atom
M_tot = 0.0 μB/cell



Entry 8:
In2Ag3SbSe6: relaxed, PBE-GGA.

Lattice parameters (Å, degrees): 4.0491 4.0491 19.8594 90.00 90.00 120.00
Closest atoms and distances in Å follow each position.
Fractional positions:
Ag (0.6667, 0.3333, 0.8310)  6 Se 2.85-2.86
Ag (0.3333, 0.6667, 0.1690)  6 Se 2.85-2.86
Ag (0.0000, 0.0000, 0.5000)  6 Se 2.91
Se (0.3333, 0.6667, 0.9143)  3 Ag 2.86, 3 Sb 2.89
Se (0.3333, 0.6667, 0.4129)  3 In 2.82, 3 Ag 2.91
Se (0.6667, 0.3333, 0.0857)  3 Ag 2.86, 3 Sb 2.89
Se (0.0000, 0.0000, 0.2515)  3 In 2.84, 3 Ag 2.85
Se (0.0000, 0.0000, 0.7485)  3 In 2.84, 3 Ag 2.85
Se (0.6667, 0.3333, 0.5871)  3 In 2.82, 3 Ag 2.91
In (0.6667, 0.3333, 0.3331)  6 Se 2.82-2.84
In (0.3333, 0.6667, 0.6669)  6 Se 2.82-2.84
Sb (0.0000, 0.0000, 0.0000)  6 Se 2.89

Calculated values
energy of formation from the pure elements = -0.514 eV per atom
space group = No. 164
raw total energy = -3.54 eV/atom
M_tot = 0.0 μB/cell



Entry 9:
InAg2SbSe4: relaxed, PBE-GGA.

Lattice parameters (Å, degrees): 7.0903 7.0903 7.0903 132.67 132.67 69.17
Closest atoms and distances in Å follow each position.
Fractional positions:
In (0.0000, 0.0000, 0.0000)  6 Se 2.84-2.85
Ag (0.5000, 0.5000, 0.0000)  6 Se 2.85-2.99
Ag (0.2500, 0.7500, 0.5000)  6 Se 2.85-2.95
Se (0.7565, 0.7565, 0.0000)  1 In 2.84, 2 Sb 2.85, 3 Ag 2.85-2.99
Se (0.5028, 0.0028, 0.5000)  2 In 2.85, 3 Ag 2.85-2.95, 1 Sb 2.89
Se (0.2435, 0.2435, 0.0000)  1 In 2.84, 2 Sb 2.85, 3 Ag 2.85-2.99
Se (0.9972, 0.4972, 0.5000)  2 In 2.85, 3 Ag 2.85-2.95, 1 Sb 2.89
Sb (0.7500, 0.2500, 0.5000)  6 Se 2.85-2.89

Calculated values
energy of formation from the pure elements = -0.477 eV per atom
space group = No. 119
raw total energy = -3.56 eV/atom
M_tot = 0.0 μB/cell



Entry 10:
InAgSe2: relaxed, PBE-GGA.

Lattice parameters (Å, degrees): 7.0411 7.0411 7.0411 132.53 132.53 69.39
Closest atoms and distances in Å follow each position.
Fractional positions:
Ag (0.5000, 0.5000, 0.0000)  6 Se 2.84-2.99
Ag (0.2500, 0.7500, 0.5000)  6 Se 2.84-2.99
In (0.7500, 0.2500, 0.5000)  6 Se 2.79-2.84
In (0.0000, 0.0000, 0.0000)  6 Se 2.79-2.84
Se (0.9914, 0.4914, 0.5000)  3 In 2.79-2.84, 3 Ag 2.84-2.99
Se (0.5086, 0.0086, 0.5000)  3 In 2.79-2.84, 3 Ag 2.84-2.99
Se (0.2414, 0.2414, 0.0000)  3 In 2.79-2.84, 3 Ag 2.84-2.99
Se (0.7586, 0.7586, 0.0000)  3 In 2.79-2.84, 3 Ag 2.84-2.99

Calculated values
energy of formation from the pure elements = -0.546 eV per atom
space group = No. 141
raw total energy = -3.45 eV/atom
M_tot = 0.0 μB/cell



Entry 11:
InAgSe2: relaxed, PBE-GGA.

Lattice parameters (Å, degrees): 4.0111 4.0111 7.0440 73.46 73.46 60.00
Closest atoms and distances in Å follow each position.
Fractional positions:
Se (0.2474, 0.2474, 0.2577)  3 In 2.82, 3 Ag 2.88
Se (0.7526, 0.7526, 0.7423)  3 In 2.82, 3 Ag 2.88
In (0.5000, 0.5000, 0.5000)  6 Se 2.82
Ag (0.0000, 0.0000, 0.0000)  6 Se 2.88

Calculated values
energy of formation from the pure elements = -0.555 eV per atom
space group = No. 166
raw total energy = -3.46 eV/atom
M_tot = 0.0 μB/cell



Entry 12:
InAgSe2: relaxed, PBE-GGA.

Lattice parameters (Å, degrees): 7.5594 7.5594 7.5594 33.55 33.55 33.55
Closest atoms and distances in Å follow each position.
Fractional positions:
Se (0.1220, 0.1220, 0.1220)  1 Ag 2.75, 3 In 2.76
Se (0.6267, 0.6267, 0.6267)  1 In 2.55, 3 Ag 2.62
Ag (0.9936, 0.9936, 0.9936)  4 Se 2.62-2.75
In (0.5077, 0.5077, 0.5077)  4 Se 2.55-2.76

Calculated values
energy of formation from the pure elements = -0.585 eV per atom
space group = No. 160
raw total energy = -3.49 eV/atom
M_tot = 0.0 μB/cell